No. 1
Computed, not measured: a geometry-optimized Zr6Zn16Cu7 structure at the PBE-GGA level of DFT.

Properties
Energy of formation (meV/atom): -243.8

Cell: 12.185 12.185 12.185 Å, 90.00 90.00 90.00°
Space group Fm-3m (No. 225)
Symmetry-distinct sites (fractional):
Zr (0.000, 0.000, 0.196)
Zn (0.120, 0.120, 0.380)
Zn (0.168, 0.168, 0.168)
Cu (0.000, 0.000, 0.500)
Cu (0.000, 0.250, 0.250)


No. 2
Computed, not measured: a geometry-optimized MnSiNi2 structure at the PBE-GGA level of DFT.

Properties
Energy of formation (meV/atom): -273.3

Cell: 2.774 2.774 6.143 Å, 90.00 90.00 90.00°
Space group P4/mmm (No. 123)
Symmetry-distinct sites (fractional):
Mn (0.000, 0.000, 0.000)
Si (0.000, 0.000, 0.500)
Ni (0.500, 0.500, 0.283)


No. 3
Computed, not measured: a geometry-optimized K2MgP2 structure at the PBE-GGA level of DFT.

Properties
Energy of formation (meV/atom): 558.9

Cell: 3.494 3.494 15.047 Å, 90.00 90.00 90.00°
Space group P4/mmm (No. 123)
Symmetry-distinct sites (fractional):
K (0.000, 0.000, 0.146)
Mg (0.000, 0.000, 0.500)
P (0.000, 0.000, 0.341)


No. 4
Computed, not measured: a geometry-optimized HfSiMo structure at the PBE-GGA level of DFT.

Properties
Energy of formation (meV/atom): -707.6

Cell: 6.948 3.507 8.205 Å, 90.00 90.00 90.00°
Space group Pnma (No. 62)
Symmetry-distinct sites (fractional):
Hf (0.043, 0.250, 0.167)
Si (0.243, 0.750, 0.363)
Mo (0.135, 0.250, 0.563)


No. 5
Computed, not measured: a geometry-optimized Bi5BrO7 structure at the PBE-GGA level of DFT.

Properties
Energy of formation (meV/atom): -1582.8

Cell: 16.475 5.443 23.774 Å, 90.00 90.00 90.00°
Space group Cmce (No. 64)
Symmetry-distinct sites (fractional):
Bi (0.000, 0.216, 0.202)
Bi (0.172, 0.214, 0.561)
Bi (0.175, 0.190, 0.309)
Br (0.000, 0.181, 0.395)
O (0.082, 0.028, 0.747)
O (0.191, 0.198, 0.650)
O (0.204, 0.166, 0.450)
O (0.250, 0.020, 0.750)


No. 6
Computed, not measured: a geometry-optimized K2TcC2S4NO4 structure at the PBE-GGA level of DFT.

Properties
Energy of formation (meV/atom): -895.8

Cell: 7.906 16.433 11.894 Å, 90.00 128.88 90.00°
Space group P2_1/c (No. 14)
Symmetry-distinct sites (fractional):
K (0.146, 0.181, 0.411)
K (0.152, 0.045, 0.870)
Tc (0.495, 0.184, 0.246)
C (0.471, 0.644, 0.639)
C (0.473, 0.509, 0.153)
S (0.247, 0.579, 0.104)
S (0.251, 0.713, 0.587)
S (0.297, 0.209, 0.756)
S (0.298, 0.075, 0.249)
N (0.454, 0.186, 0.092)
O (0.076, 0.677, 0.592)
O (0.107, 0.547, 0.143)
O (0.457, 0.575, 0.595)
O (0.458, 0.061, 0.613)


No. 7
Computed, not measured: a geometry-optimized Ti2N2O structure at the PBE-GGA level of DFT.

Properties
Energy of formation (meV/atom): -1985.3

Cell: 8.207 8.212 8.232 Å, 109.49 109.43 109.37°
Space group P1 (No. 1)
Symmetry-distinct sites (fractional):
Ti (0.000, 0.000, 0.000)
Ti (0.001, 0.517, 0.507)
Ti (0.033, 0.804, 0.245)
Ti (0.200, 0.257, 0.452)
Ti (0.237, 0.966, 0.701)
Ti (0.243, 0.457, 0.203)
Ti (0.284, 0.754, 0.034)
Ti (0.442, 0.705, 0.734)
Ti (0.490, 0.017, 0.494)
Ti (0.490, 0.494, 0.982)
Ti (0.533, 0.292, 0.247)
Ti (0.701, 0.267, 0.955)
Ti (0.743, 0.542, 0.786)
Ti (0.754, 0.055, 0.297)
Ti (0.796, 0.754, 0.535)
Ti (0.960, 0.221, 0.749)
N (0.036, 0.774, 0.987)
N (0.038, 0.015, 0.768)
N (0.219, 0.467, 0.950)
N (0.219, 0.738, 0.769)
N (0.232, 0.520, 0.454)
N (0.265, 0.230, 0.224)
N (0.271, 0.055, 0.504)
N (0.446, 0.233, 0.956)
N (0.454, 0.459, 0.723)
N (0.488, 0.047, 0.264)
N (0.726, 0.276, 0.719)
N (0.757, 0.497, 0.533)
N (0.769, 0.544, 0.047)
N (0.938, 0.994, 0.217)
N (0.980, 0.730, 0.443)
N (0.999, 0.279, 0.543)
O (0.262, 0.732, 0.271)
O (0.502, 0.961, 0.726)
O (0.533, 0.559, 0.273)
O (0.542, 0.781, 0.036)
O (0.716, 0.782, 0.763)
O (0.716, 0.950, 0.480)
O (0.768, 0.266, 0.216)
O (0.953, 0.245, 0.010)


No. 8
Computed, not measured: a geometry-optimized Ba3Sc3N5 structure at the PBE-GGA level of DFT.

Properties
Energy of formation (meV/atom): -1287.5

Cell: 6.299 8.368 9.512 Å, 110.41 103.47 100.49°
Space group P-1 (No. 2)
Symmetry-distinct sites (fractional):
Ba (0.169, 0.351, 0.388)
Ba (0.188, 0.152, 0.718)
Ba (0.270, 0.934, 0.100)
Sc (0.200, 0.472, 0.089)
Sc (0.393, 0.622, 0.797)
Sc (0.405, 0.813, 0.475)
N (0.135, 0.553, 0.896)
N (0.274, 0.225, 0.037)
N (0.274, 0.996, 0.398)
N (0.284, 0.732, 0.636)
N (0.479, 0.597, 0.306)


No. 9
Computed, not measured: a geometry-optimized TiSeS structure at the PBE-GGA level of DFT.

Properties
Energy of formation (meV/atom): -1367.0

Cell: 3.4866 3.4866 6.4613 Å, 90.00 90.00 120.00°
Space group P3m1 (No. 156)
Symmetry-distinct sites (fractional):
Ti (0.0000, 0.0000, 0.0000)
Se (0.3333, 0.6667, 0.2506)
S (0.6667, 0.3333, 0.7935)


No. 10
Computed, not measured: a geometry-optimized CaH12S2N2O10 structure at the PBE-GGA level of DFT.

Properties
Energy of formation (meV/atom): -1380.8

Cell: 11.781 7.661 11.793 Å, 90.00 99.21 90.00°
Space group C2/c (No. 15)
Symmetry-distinct sites (fractional):
Ca (0.000, 0.074, 0.250)
H (0.047, 0.309, 0.465)
H (0.072, 0.371, 0.101)
H (0.089, 0.104, 0.989)
H (0.136, 0.308, 0.857)
H (0.171, 0.485, 0.307)
H (0.193, 0.008, 0.943)
S (0.185, 0.297, 0.683)
N (0.137, 0.392, 0.789)
O (0.023, 0.267, 0.086)
O (0.119, 0.067, 0.919)
O (0.122, 0.131, 0.667)
O (0.157, 0.418, 0.584)
O (0.189, 0.233, 0.292)


No. 11
Computed, not measured: a geometry-optimized MgSn2O4 structure at the PBE-GGA level of DFT.

Properties
Energy of formation (meV/atom): -1857.9
Excess energy over the best structure of this formula in the dataset (eV/atom): 0.287

Cell: 3.178 10.782 10.869 Å, 90.00 90.00 90.00°
Space group Cmcm (No. 63)
Symmetry-distinct sites (fractional):
Mg (0.000, 0.108, 0.250)
Sn (0.000, 0.368, 0.079)
O (0.000, 0.000, 0.000)
O (0.000, 0.278, 0.619)
O (0.000, 0.480, 0.250)


No. 12
Computed, not measured: a geometry-optimized MgHg2Sb4O12 structure at the PBE-GGA level of DFT.

Properties
Energy of formation (meV/atom): -1534.5
Excess energy over the best structure of this formula in the dataset (eV/atom): 0.019

Cell: 10.250 6.940 7.317 Å, 90.00 90.00 90.00°
Space group Amm2 (No. 38)
Symmetry-distinct sites (fractional):
Mg (0.000, 0.000, 0.000)
Hg (0.000, 0.000, 0.630)
Hg (0.500, 0.000, 0.291)
Sb (0.190, 0.000, 0.280)
Sb (0.341, 0.000, 0.785)
O (0.000, 0.176, 0.250)
O (0.194, 0.000, 0.980)
O (0.208, 0.000, 0.568)
O (0.326, 0.210, 0.276)
O (0.500, 0.000, 0.615)
O (0.500, 0.000, 0.956)